Sr3LaI9 GGA-PBE relaxed; E = -3.4509 eV per atom; space group = No. 7; energy of formation = -1.889 eV/atom
1.0
-3.1752 -6.2718 3.3850
3.6578 2.0758 7.2770
-26.1251 18.1629 9.1466
Sr La I
12 4 36
direct
0.9670 0.6684 0.9328
0.0015 0.7002 0.6922
0.0330 0.6684 0.4328
0.9985 0.7002 0.1922
0.9846 0.3207 0.5686
0.9819 0.2863 0.8096
0.0154 0.3207 0.0686
0.0181 0.2863 0.3096
0.5226 0.2105 0.6921
0.5168 0.1719 0.9318
0.4774 0.2105 0.1921
0.4832 0.1719 0.4318
0.5213 0.7989 0.8068
0.5466 0.8230 0.5677
0.4787 0.7989 0.3068
0.4534 0.8230 0.0677
0.8014 0.9854 0.8696
0.8228 0.9911 0.7512
0.8202 0.9989 0.6289
0.1986 0.9854 0.3696
0.1772 0.9911 0.2512
0.7099 0.8893 0.9915
0.1798 0.9989 0.1289
0.3249 0.8482 0.8950
0.2901 0.8893 0.4915
0.3912 0.8430 0.7059
0.6751 0.8482 0.3950
0.6088 0.8430 0.2059
0.1527 0.6430 0.7959
0.1999 0.6481 0.5994
0.8473 0.6430 0.2959
0.8001 0.6481 0.0994
0.7536 0.5872 0.5099
0.6820 0.5025 0.8681
0.6942 0.5056 0.7509
0.7011 0.5167 0.6288
0.2464 0.5872 0.0099
0.3180 0.5025 0.3681
0.3058 0.5056 0.2509
0.2989 0.5167 0.1288
0.7623 0.3914 0.9894
0.2377 0.3914 0.4894
0.1596 0.3436 0.9004
0.1232 0.3292 0.6993
0.8404 0.3436 0.4004
0.8768 0.3292 0.1993
0.3840 0.1544 0.7973
0.3490 0.1345 0.5991
0.6160 0.1544 0.2973
0.6510 0.1345 0.0991
0.7575 0.0774 0.5098
0.2425 0.0774 0.0098